An optimized crystal structure of Al2H30Se3O28. Source: the Materials Project, functional PBE-GGA.

Cell lengths 6.2135, 27.5315, 7.6303 Å; angles 90.00, 97.83, 90.00 degrees
Space group P2_1 (No. 4)
One atom of each set of equivalent atoms:
Al  0.0133  0.0000  0.2675 x2
Al  0.0209  0.8015  0.8227 x2
H  0.0085  0.5412  0.0378 x2
H  0.0243  0.2203  0.3669 x2
H  0.0243  0.7478  0.0946 x2
H  0.0303  0.3399  0.4891 x2
H  0.0393  0.1597  0.5485 x2
H  0.0682  0.9664  0.5871 x2
H  0.0847  0.6184  0.1093 x2
H  0.1100  0.0966  0.7139 x2
H  0.1596  0.4130  0.7367 x2
H  0.1693  0.8887  0.8475 x2
H  0.1737  0.2868  0.8985 x2
H  0.1800  0.0852  0.2451 x2
H  0.1821  0.4342  0.9382 x2
H  0.1818  0.4873  0.4544 x2
H  0.1832  0.0757  0.4561 x2
H  0.1837  0.6630  0.5761 x2
H  0.1989  0.8665  0.0468 x2
H  0.2094  0.0075  0.9940 x2
H  0.2194  0.2260  0.2408 x2
H  0.2230  0.8195  0.5506 x2
H  0.2652  0.5831  0.1878 x2
H  0.2864  0.3637  0.1914 x2
H  0.2965  0.5648  0.7646 x2
H  0.3110  0.9342  0.2914 x2
H  0.3376  0.1228  0.7227 x2
H  0.3679  0.3198  0.3270 x2
H  0.3713  0.5167  0.8823 x2
H  0.3767  0.7465  0.8428 x2
H  0.3991  0.9793  0.4185 x2
H  0.4005  0.7888  0.9874 x2
Se  0.4606  0.3382  0.6814 x2
Se  0.4711  0.1496  0.1118 x2
Se  0.4902  0.9623  0.7802 x2
O  0.0320  0.2806  0.9438 x2
O  0.0345  0.4871  0.4949 x2
O  0.0616  0.0123  0.0305 x2
O  0.0721  0.6832  0.5051 x2
O  0.0815  0.8236  0.5986 x2
O  0.0868  0.2418  0.2767 x2
O  0.1019  0.6845  0.1253 x2
O  0.1076  0.5849  0.1563 x2
O  0.1093  0.4392  0.8136 x2
O  0.1166  0.8630  0.9243 x2
O  0.1416  0.0611  0.3363 x2
O  0.2133  0.1107  0.6397 x2
O  0.2271  0.1234  0.0965 x2
O  0.2303  0.3689  0.6155 x2
O  0.2524  0.9341  0.7184 x2
O  0.2622  0.3288  0.2190 x2
O  0.2677  0.5288  0.7793 x2
O  0.2912  0.9697  0.3138 x2
O  0.3054  0.7775  0.8780 x2
O  0.3218  0.4223  0.1334 x2
O  0.3418  0.8766  0.2368 x2
O  0.3474  0.6213  0.7401 x2
O  0.4188  0.2979  0.8375 x2
O  0.4321  0.4893  0.3987 x2
O  0.4507  0.2069  0.1841 x2
O  0.4522  0.6489  0.0925 x2
O  0.4573  0.0051  0.9311 x2
O  0.4658  0.8097  0.4954 x2

Values from the calculation:
Spin magnetization ... 4.00 Bohr magnetons per cell
ρ ... 1.98 g cm⁻³
Total energy ... -5.1695 eV per atom
Formation energy ... -1375 meV per atom

***

An optimized crystal structure of Al2Si3H3O12. Source: the Materials Project, functional PBE-GGA.

Cell lengths 12.4501, 6.6338, 12.8843 Å; angles 90.00, 90.42, 90.00 degrees
Space group P2_1 (No. 4)
One atom of each set of equivalent atoms:
Al  0.1187  0.0000  0.3244 x2
Al  0.1736  0.7433  0.8796 x2
Al  0.3283  0.7452  0.6191 x2
Al  0.3750  0.9937  0.1822 x2
Si  0.1226  0.5036  0.6770 x2
Si  0.1775  0.7494  0.1215 x2
Si  0.2338  0.3836  0.2559 x2
Si  0.2620  0.1277  0.7534 x2
Si  0.3279  0.7532  0.3797 x2
Si  0.3851  0.5043  0.8245 x2
H  0.0080  0.1166  0.6113 x2
H  0.0106  0.4799  0.4927 x2
H  0.0741  0.3804  0.3690 x2
H  0.3991  0.6549  0.0845 x2
H  0.4719  0.1208  0.8834 x2
H  0.4860  0.5464  0.9945 x2
O  0.0061  0.4800  0.4135 x2
O  0.0080  0.4585  0.6157 x2
O  0.0495  0.2380  0.9888 x2
O  0.0969  0.6157  0.7859 x2
O  0.1185  0.7487  0.0062 x2
O  0.1206  0.9083  0.1977 x2
O  0.1382  0.2714  0.3265 x2
O  0.1704  0.5200  0.1693 x2
O  0.1769  0.2809  0.6975 x2
O  0.1989  0.9893  0.8360 x2
O  0.2013  0.6343  0.6041 x2
O  0.2170  0.8765  0.3985 x2
O  0.2954  0.6123  0.8944 x2
O  0.3033  0.5252  0.3354 x2
O  0.3054  0.8081  0.1062 x2
O  0.3061  0.2162  0.2012 x2
O  0.3204  0.9932  0.6654 x2
O  0.3570  0.2579  0.8162 x2
O  0.3883  0.7307  0.4943 x2
O  0.3986  0.6038  0.7112 x2
O  0.4051  0.8729  0.3004 x2
O  0.4474  0.2486  0.5220 x2
O  0.4665  0.5635  0.0761 x2
O  0.4985  0.0173  0.1124 x2

Values from the calculation:
Spin magnetization ... 12.00 Bohr magnetons per cell
ρ ... 2.08 g cm⁻³
Total energy ... -6.6828 eV per atom
Formation energy ... -2429 meV per atom

***

An optimized crystal structure of Sr2Al3Si3HO13. Source: the Materials Project, functional PBE-GGA.

Cell lengths 16.5387, 5.6679, 10.3686 Å; angles 90.00, 90.00, 90.00 degrees
Space group Pnma (No. 62)
One atom of each set of equivalent atoms:
Sr  0.0431  0.2500  0.1125 x4
Sr  0.1315  0.2500  0.4405 x4
Al  0.1101  0.2500  0.7968 x4
Al  0.2467  0.5044  0.1888 x8
Si  0.0875  0.7500  0.2840 x4
Si  0.0872  0.7500  0.6058 x4
Si  0.1632  0.7500  0.9288 x4
H  0.2286  0.2500  0.9828 x4
O  0.0009  0.2500  0.7829 x4
O  0.0024  0.2500  0.3403 x4
O  0.0861  0.7500  0.4445 x4
O  0.1052  0.5140  0.9206 x8
O  0.1357  0.5028  0.6474 x8
O  0.1380  0.5145  0.2407 x8
O  0.2218  0.2500  0.7958 x4
O  0.2248  0.7500  0.0581 x4
O  0.2278  0.2500  0.0780 x4
O  0.2322  0.7500  0.8103 x4

Values from the calculation:
Spin magnetization ... 0.00 Bohr magnetons per cell
ρ ... 3.75 g cm⁻³
Total energy ... -7.3490 eV per atom
Formation energy ... -3273 meV per atom

***

An optimized crystal structure of SrAlSiH. Source: the Materials Project, functional PBE-GGA.

Cell lengths 4.2294, 4.2294, 4.9648 Å; angles 90.00, 90.00, 120.00 degrees
Space group P3m1 (No. 156)
One atom of each set of equivalent atoms:
Sr  0.0000  0.0000  0.0000 x1
Al  0.6667  0.3333  0.4602 x1
Si  0.3333  0.6667  0.5546 x1
H  0.6667  0.3333  0.1075 x1

Values from the calculation:
Spin magnetization ... 0.00 Bohr magnetons per cell
ρ ... 3.10 g cm⁻³
Total energy ... -3.9963 eV per atom
Formation energy ... -478 meV per atom
Piezoelectric modulus e_max ... 0.70 C/m2

***

An optimized crystal structure of SrAlH3. Source: the Materials Project, functional PBE-GGA.

Cell lengths 4.5855, 4.5855, 4.5855 Å; angles 90.00, 90.00, 90.00 degrees
Space group Pm-3m (No. 221)
One atom of each set of equivalent atoms:
Sr  0.0000  0.0000  0.0000 x1
Al  0.5000  0.5000  0.5000 x1
H  0.0000  0.0000  0.5000 x3

Values from the calculation:
Spin magnetization ... 0.00 Bohr magnetons per cell
ρ ... 2.03 g cm⁻³
Total energy ... -2.7973 eV per atom
Formation energy ... 218 meV per atom

***

An optimized crystal structure of Th2AlH4. Source: the Materials Project, functional PBE-GGA.

Cell lengths 7.6361, 7.6361, 6.5143 Å; angles 90.00, 90.00, 90.00 degrees
Space group I4/mcm (No. 140)
One atom of each set of equivalent atoms:
Th  0.1644  0.3356  0.0000 x8
Al  0.0000  0.0000  0.2500 x4
H  0.1298  0.3702  0.3512 x16

Values from the calculation:
Spin magnetization ... 0.00 Bohr magnetons per cell
ρ ... 8.66 g cm⁻³
Total energy ... -5.0394 eV per atom
Formation energy ... -550 meV per atom

***

An optimized crystal structure of HfAl2. Source: the Materials Project, functional PBE-GGA.

Cell lengths 5.2481, 5.2481, 8.7272 Å; angles 90.00, 90.00, 120.00 degrees
Space group P6_3/mmc (No. 194)
One atom of each set of equivalent atoms:
Hf  0.3333  0.6667  0.0637 x4
Al  0.0000  0.0000  0.0000 x2
Al  0.1706  0.3411  0.7500 x6

Values from the calculation:
ρ ... 7.42 g cm⁻³
Total energy ... -6.2580 eV per atom
Formation energy ... -442 meV per atom

***

An optimized crystal structure of Hf3Al. Source: the Materials Project, functional PBE-GGA.

Cell lengths 6.1545, 6.1545, 5.0075 Å; angles 90.00, 90.00, 120.00 degrees
Space group P6_3/mmc (No. 194)
One atom of each set of equivalent atoms:
Hf  0.1697  0.3394  0.2500 x6
Al  0.3333  0.6667  0.7500 x2

Values from the calculation:
ρ ... 11.37 g cm⁻³
Total energy ... -8.6253 eV per atom
Formation energy ... -221 meV per atom

***

An optimized crystal structure of Hf4Al3. Source: the Materials Project, functional PBE-GGA.

Cell lengths 5.3595, 5.3595, 5.4174 Å; angles 90.00, 90.00, 120.00 degrees
Space group P6/mmm (No. 191)
One atom of each set of equivalent atoms:
Hf  0.0000  0.0000  0.2412 x2
Hf  0.3333  0.6667  0.0000 x2
Al  0.0000  0.5000  0.5000 x3

Values from the calculation:
ρ ... 9.79 g cm⁻³
Total energy ... -7.6889 eV per atom
Formation energy ... -394 meV per atom

***

An optimized crystal structure of HfAl3. Source: the Materials Project, functional PBE-GGA.

Cell lengths 3.9494, 3.9494, 8.9157 Å; angles 90.00, 90.00, 90.00 degrees
Space group I4/mmm (No. 139)
One atom of each set of equivalent atoms:
Hf  0.0000  0.0000  0.0000 x2
Al  0.0000  0.0000  0.5000 x2
Al  0.0000  0.5000  0.2500 x4

Values from the calculation:
ρ ... 6.20 g cm⁻³
Total energy ... -5.6870 eV per atom
Formation energy ... -389 meV per atom

***

An optimized crystal structure of Hf5Al3. Source: the Materials Project, functional PBE-GGA.

Cell lengths 8.1132, 8.1132, 5.7085 Å; angles 90.00, 90.00, 120.00 degrees
Space group P6_3/mcm (No. 193)
One atom of each set of equivalent atoms:
Hf  0.0000  0.2377  0.2500 x6
Hf  0.3333  0.6667  0.0000 x4
Al  0.0000  0.3969  0.7500 x6

Values from the calculation:
ρ ... 9.93 g cm⁻³
Total energy ... -7.9195 eV per atom
Formation energy ... -292 meV per atom